(1)
VASP calculation (GGA-PBE) on a geometry-optimized K2HfF6 structure.

Computed properties:
- corrected total energy (MP2020 scheme) (eV/atom) = -6.33
- magnetic moment (μB/f.u.) = 0.00
- SG = Fm-3m (225)

abc: 6.1942 6.1942 6.1942
angles: 60.00 60.00 60.00
Element x y z (fractional)
K (0.2500, 0.2500, 0.2500)
K (0.7500, 0.7500, 0.7500)
Hf (0.0000, 0.0000, 0.0000)
F (0.2287, 0.2287, 0.7713)
F (0.2287, 0.7713, 0.2287)
F (0.2287, 0.7713, 0.7713)
F (0.7713, 0.2287, 0.2287)
F (0.7713, 0.2287, 0.7713)
F (0.7713, 0.7713, 0.2287)

***

(2)
VASP calculation (GGA-PBE) on a geometry-optimized Te2Mo3WS6 structure.

Computed properties:
- corrected total energy (MP2020 scheme) (eV/atom) = -7.24
- ΔE to the lowest computed polymorph (meV/atom) = 38
- magnetic moment (μB/f.u.) = 0.01
- SG = P3m1 (156)

abc: 3.2762 3.2762 38.0690
angles: 90.00 90.00 120.00
Element x y z (fractional)
Te (0.0000, 0.0000, 0.0000)
Te (0.0000, 0.0000, 0.1017)
Mo (0.0000, 0.0000, 0.2391)
Mo (0.0000, 0.0000, 0.8625)
Mo (0.6667, 0.3333, 0.6750)
W (0.6667, 0.3333, 0.0509)
S (0.0000, 0.0000, 0.6345)
S (0.0000, 0.0000, 0.7154)
S (0.6667, 0.3333, 0.1987)
S (0.6667, 0.3333, 0.2795)
S (0.6667, 0.3333, 0.8221)
S (0.6667, 0.3333, 0.9029)

***

(3)
VASP calculation (GGA-PBE) on a geometry-optimized LaUO4 structure.

Computed properties:
- corrected total energy (MP2020 scheme) (eV/atom) = -9.87
- magnetic moment (μB/f.u.) = 1.00
- SG = P4/mmm (123)

abc: 3.8475 3.8475 5.6329
angles: 90.00 90.00 90.00
Element x y z (fractional)
La (0.0000, 0.0000, 0.0000)
U (0.5000, 0.5000, 0.5000)
O (0.0000, 0.5000, 0.2745)
O (0.0000, 0.5000, 0.7255)
O (0.5000, 0.0000, 0.2745)
O (0.5000, 0.0000, 0.7255)

***

(4)
VASP calculation (GGA-PBE) on a geometry-optimized Na4ZnSn3P6O24 structure.

Computed properties:
- corrected total energy (MP2020 scheme) (eV/atom) = -6.97
- magnetic moment (μB/f.u.) = 0.00
- SG = P1 (1)

abc: 8.8575 8.8627 22.6209
angles: 90.01 90.02 119.93
Element x y z (fractional)
Na (0.0000, 0.0000, 0.0000)
Na (0.0009, 0.0133, 0.4937)
Na (0.0132, 0.6544, 0.2504)
Na (0.0315, 0.3363, 0.0808)
Na (0.3207, 0.6675, 0.6646)
Na (0.3444, 0.6911, 0.1632)
Na (0.3607, 0.3851, 0.2506)
Na (0.3667, 0.0036, 0.7528)
Na (0.6252, 0.6503, 0.7531)
Na (0.6302, 0.0017, 0.2502)
Na (0.6674, 0.3466, 0.3345)
Na (0.6808, 0.3477, 0.8340)
Zn (0.0000, 0.0049, 0.1428)
Zn (0.3260, 0.6725, 0.8164)
Zn (0.3345, 0.6802, 0.3186)
Sn (0.0011, 0.0129, 0.3488)
Sn (0.0013, 0.0163, 0.8505)
Sn (0.0019, 0.0152, 0.6413)
Sn (0.3350, 0.6802, 0.5124)
Sn (0.3381, 0.6842, 0.0114)
Sn (0.6655, 0.3466, 0.1773)
Sn (0.6655, 0.3469, 0.9757)
Sn (0.6678, 0.3466, 0.4764)
Sn (0.6723, 0.3473, 0.6788)
P (0.9997, 0.3056, 0.2428)
P (0.0003, 0.7210, 0.7450)
P (0.0393, 0.3855, 0.9127)
P (0.0388, 0.6801, 0.4111)
P (0.2921, 0.3060, 0.7443)
P (0.2935, 0.0142, 0.2442)
P (0.3337, 0.3840, 0.4110)
P (0.3349, 0.9753, 0.9098)
P (0.3718, 0.3477, 0.0782)
P (0.3738, 0.0507, 0.5792)
P (0.6299, 0.6804, 0.9097)
P (0.6301, 0.9754, 0.4110)
P (0.6648, 0.0492, 0.0788)
P (0.6663, 0.6409, 0.5793)
P (0.7092, 0.7213, 0.2441)
P (0.7113, 0.0165, 0.7450)
P (0.9638, 0.3484, 0.5780)
P (0.9636, 0.6432, 0.0778)
O (0.0195, 0.8457, 0.4090)
O (0.0218, 0.2015, 0.9096)
O (0.0288, 0.2281, 0.1869)
O (0.0325, 0.8364, 0.6892)
O (0.1125, 0.6536, 0.3536)
O (0.1207, 0.4950, 0.8584)
O (0.1423, 0.6467, 0.0729)
O (0.1440, 0.4622, 0.9714)
O (0.1462, 0.5123, 0.5730)
O (0.1519, 0.7082, 0.4668)
O (0.1574, 0.4890, 0.2512)
O (0.1620, 0.7040, 0.7506)
O (0.1681, 0.1994, 0.4088)
O (0.1691, 0.9945, 0.9081)
O (0.1802, 0.9825, 0.1905)
O (0.1838, 0.2230, 0.6879)
O (0.1898, 0.1907, 0.0821)
O (0.1910, 0.0336, 0.5831)
O (0.2135, 0.1834, 0.7985)
O (0.2188, 0.0576, 0.3006)
O (0.3053, 0.8623, 0.9657)
O (0.3058, 0.4690, 0.4667)
O (0.3214, 0.4896, 0.7498)
O (0.3212, 0.8572, 0.2518)
O (0.3562, 0.5162, 0.0733)
O (0.3565, 0.8688, 0.5737)
O (0.3600, 0.4840, 0.3535)
O (0.3617, 0.9009, 0.8526)
O (0.4617, 0.1690, 0.5259)
O (0.4644, 0.3235, 0.0249)
O (0.4766, 0.3168, 0.7395)
O (0.4794, 0.1276, 0.6376)
O (0.4795, 0.1854, 0.2404)
O (0.4801, 0.3820, 0.1368)
O (0.4967, 0.8694, 0.0730)
O (0.4989, 0.1591, 0.9171)
O (0.4986, 0.3646, 0.4183)
O (0.5013, 0.6579, 0.5737)
O (0.5244, 0.6933, 0.2519)
O (0.5293, 0.8556, 0.7493)
O (0.5297, 0.6558, 0.8525)
O (0.5299, 0.9015, 0.3536)
O (0.5455, 0.7082, 0.9657)
O (0.5459, 0.8624, 0.4668)
O (0.6311, 0.1246, 0.1374)
O (0.6367, 0.5348, 0.6377)
O (0.6487, 0.1591, 0.4182)
O (0.6493, 0.5157, 0.9166)
O (0.6906, 0.1818, 0.7399)
O (0.6951, 0.1728, 0.0263)
O (0.6948, 0.5354, 0.2398)
O (0.6968, 0.5531, 0.5259)
O (0.7899, 0.8358, 0.1905)
O (0.7939, 0.9836, 0.6895)
O (0.8150, 0.8455, 0.9085)
O (0.8153, 0.9951, 0.4087)
O (0.8257, 0.0502, 0.8003)
O (0.8269, 0.5414, 0.7393)
O (0.8277, 0.7953, 0.3005)
O (0.8286, 0.3210, 0.2402)
O (0.8298, 0.0376, 0.0829)
O (0.8317, 0.8233, 0.5836)
O (0.8470, 0.5484, 0.0244)
O (0.8479, 0.3171, 0.5238)
O (0.8536, 0.3629, 0.9183)
O (0.8547, 0.5156, 0.4182)
O (0.8858, 0.3803, 0.6351)
O (0.8891, 0.5266, 0.1355)
O (0.9583, 0.1840, 0.2980)
O (0.9580, 0.8018, 0.7991)
O (0.9801, 0.1825, 0.5829)
O (0.9832, 0.8213, 0.0825)

***

(5)
VASP calculation (GGA-PBE) on a geometry-optimized PuTaC2 structure.

Computed properties:
- magnetic moment (μB/f.u.) = 0.03
- electronic total energy (eV per atom) = -11.28
- SG = R-3m (166)

abc: 5.9137 5.9137 5.9137
angles: 32.15 32.15 32.15
Element x y z (fractional)
Pu (0.0000, 0.0000, 0.0000)
Ta (0.5000, 0.5000, 0.5000)
C (0.2412, 0.2412, 0.2412)
C (0.7588, 0.7588, 0.7588)

***

(6)
VASP calculation (GGA-PBE) on a geometry-optimized BaSi3Pd structure.

Computed properties:
- electronic total energy (eV per atom) = -5.15
- SG = I4mm (107)

abc: 6.0566 6.0566 6.0566
angles: 137.17 137.17 62.18
Element x y z (fractional)
Ba (0.0000, 0.0000, 0.0000)
Si (0.2536, 0.7536, 0.5000)
Si (0.3890, 0.3890, 0.0000)
Si (0.7536, 0.2536, 0.5000)
Pd (0.6461, 0.6461, 0.0000)

***

(7)
VASP calculation (GGA-PBE) on a geometry-optimized Ge3Sb structure.

Computed properties:
- corrected total energy (MP2020 scheme) (eV/atom) = -4.21
- magnetic moment (μB/f.u.) = 0.00
- SG = Pm-3m (221)

abc: 4.4282 4.4282 4.4282
angles: 90.00 90.00 90.00
Element x y z (fractional)
Ge (0.0000, 0.0000, 0.5000)
Ge (0.0000, 0.5000, 0.0000)
Ge (0.5000, 0.0000, 0.0000)
Sb (0.5000, 0.5000, 0.5000)

***

(8)
VASP calculation (GGA-PBE) on a geometry-optimized PdBr4N2 structure.

Computed properties:
- corrected total energy (MP2020 scheme) (eV/atom) = -2.71
- magnetic moment (μB/f.u.) = 4.67
- SG = P4/mmm (123)

abc: 7.2538 7.2538 3.4684
angles: 90.00 90.00 90.00
Element x y z (fractional)
Pd (0.0000, 0.0000, 0.0000)
Br (0.2367, 0.2367, 0.0000)
Br (0.2367, 0.7633, 0.0000)
Br (0.7633, 0.2367, 0.0000)
Br (0.7633, 0.7633, 0.0000)
N (0.0000, 0.5000, 0.5000)
N (0.5000, 0.0000, 0.5000)